(1)
Here is a relaxed Sr2FeCuPb2O6 crystal from the Materials Project. Energies are from PBE+U.

abc: 5.532 12.339 5.654
angles: 90.00 90.00 90.00
Sites, in units of the cell vectors:
Sr 0.000 0.143 0.003
Sr 0.000 0.857 0.997
Sr 0.500 0.143 0.497
Sr 0.500 0.857 0.503
Fe 0.000 0.000 0.500
Fe 0.500 0.000 0.000
Cu 0.000 0.500 0.000
Cu 0.500 0.500 0.500
Pb 0.000 0.355 0.510
Pb 0.000 0.645 0.490
Pb 0.500 0.355 0.990
Pb 0.500 0.645 0.010
O 0.000 0.179 0.478
O 0.000 0.354 0.923
O 0.000 0.646 0.077
O 0.000 0.821 0.522
O 0.250 0.005 0.750
O 0.250 0.995 0.250
O 0.500 0.179 0.022
O 0.500 0.354 0.577
O 0.500 0.646 0.423
O 0.500 0.821 0.978
O 0.750 0.005 0.750
O 0.750 0.995 0.250

Output
For the offset from the most stable computed form, the calculation gives 1.2 meV/atom. The value obtained for the density is 6.928 g/cm³. The calculation puts the calculated formation energy at -1.9903 eV per atom. As for the final energy: -5.88 eV per atom. As for the symmetry: Pmna.

***

(2)
Here is a relaxed Mg6VSnO8 crystal from the Materials Project. Energies are from PBE+U.

abc: 4.461 4.461 8.828
angles: 90.00 90.00 90.00
Sites, in units of the cell vectors:
Mg 0.000 0.000 0.000
Mg 0.000 0.500 0.238
Mg 0.000 0.500 0.762
Mg 0.500 0.000 0.238
Mg 0.500 0.000 0.762
Mg 0.500 0.500 0.000
V 0.000 0.000 0.500
Sn 0.500 0.500 0.500
O 0.000 0.000 0.244
O 0.000 0.000 0.756
O 0.000 0.500 0.000
O 0.000 0.500 0.500
O 0.500 0.000 0.000
O 0.500 0.000 0.500
O 0.500 0.500 0.226
O 0.500 0.500 0.774

Output
For the offset from the most stable computed form, the calculation gives 0.0 meV/atom. The value obtained for the density is 4.191 g/cm³. The calculation puts the calculated formation energy at -2.5429 eV per atom. As for the final energy: -5.99 eV per atom. As for the symmetry: P4/mmm.

***

(3)
Here is a relaxed Ba2YCr3O7 crystal from the Materials Project. Energies are from PBE+U.

abc: 5.634 5.634 11.632
angles: 90.00 90.00 88.60
Sites, in units of the cell vectors:
Cr 0.500 0.500 0.647
Cr 0.000 0.000 0.353
Cr 0.000 0.000 0.000
Cr 0.500 0.500 0.353
Cr 0.500 0.500 0.000
Cr 0.000 0.000 0.647
Ba 0.500 0.000 0.181
Ba 0.500 0.000 0.819
Ba 0.000 0.500 0.819
Ba 0.000 0.500 0.181
O 0.750 0.750 0.000
O 0.000 0.000 0.823
O 0.500 0.500 0.823
O 0.250 0.750 0.622
O 0.750 0.250 0.622
O 0.250 0.250 0.000
O 0.750 0.250 0.378
O 0.750 0.750 0.377
O 0.000 0.000 0.177
O 0.250 0.750 0.378
O 0.750 0.750 0.623
O 0.500 0.500 0.177
O 0.250 0.250 0.623
O 0.250 0.250 0.377
Y 0.000 0.500 0.500
Y 0.500 0.000 0.500

Output
For the offset from the most stable computed form, the calculation gives 0.0 meV/atom. The value obtained for the density is 5.683 g/cm³. The calculation puts the calculated formation energy at -2.7082 eV per atom. As for the final energy: -7.56 eV per atom.

***

The highest final energy belongs to which entry? Sr2FeCuPb2O6

***

What is the calculated formation energy in the third record? -2.7082 eV per atom